No. 1
Zn3Si3Ag2O12 | GGA-PBE | relaxed

Calculated values
M_tot = 0.7 μB per formula unit
DFT total energy = -5.6886 eV per atom

a = 10.4384 Å, b = 10.4384 Å, c = 10.4384 Å
α = 109.47°, β = 109.47°, γ = 109.47°
Sites, in units of the cell vectors:
Zn  0.1250  0.2500  0.3750
Zn  0.1250  0.3750  0.7500
Zn  0.2500  0.3750  0.1250
Zn  0.2500  0.8750  0.6250
Zn  0.3750  0.1250  0.2500
Zn  0.3750  0.7500  0.1250
Zn  0.6250  0.2500  0.8750
Zn  0.6250  0.8750  0.7500
Zn  0.7500  0.1250  0.3750
Zn  0.7500  0.6250  0.8750
Zn  0.8750  0.6250  0.2500
Zn  0.8750  0.7500  0.6250
Si  0.1250  0.7500  0.8750
Si  0.1250  0.8750  0.2500
Si  0.2500  0.1250  0.8750
Si  0.2500  0.6250  0.3750
Si  0.3750  0.2500  0.6250
Si  0.3750  0.6250  0.7500
Si  0.6250  0.3750  0.2500
Si  0.6250  0.7500  0.3750
Si  0.7500  0.3750  0.6250
Si  0.7500  0.8750  0.1250
Si  0.8750  0.1250  0.7500
Si  0.8750  0.2500  0.1250
Ag  0.0000  0.0000  0.0000
Ag  0.0000  0.0000  0.5000
Ag  0.0000  0.5000  0.0000
Ag  0.0000  0.5000  0.5000
Ag  0.5000  0.0000  0.0000
Ag  0.5000  0.0000  0.5000
Ag  0.5000  0.5000  0.0000
Ag  0.5000  0.5000  0.5000
O  0.0268  0.2271  0.1307
O  0.0268  0.2997  0.8961
O  0.0964  0.7271  0.7003
O  0.0964  0.8693  0.3961
O  0.1039  0.6307  0.4036
O  0.1039  0.9732  0.7003
O  0.1307  0.0268  0.2271
O  0.1307  0.6039  0.9036
O  0.2003  0.2271  0.5964
O  0.2003  0.4732  0.6039
O  0.2271  0.1307  0.0268
O  0.2271  0.5964  0.2003
O  0.2729  0.2997  0.9036
O  0.2729  0.4732  0.3693
O  0.2997  0.8961  0.0268
O  0.2997  0.9036  0.2729
O  0.3693  0.2729  0.4732
O  0.3693  0.5964  0.8961
O  0.3961  0.0964  0.8693
O  0.3961  0.7997  0.5268
O  0.4036  0.1039  0.6307
O  0.4036  0.7997  0.7729
O  0.4732  0.3693  0.2729
O  0.4732  0.6039  0.2003
O  0.5268  0.3961  0.7997
O  0.5268  0.6307  0.7271
O  0.5964  0.2003  0.2271
O  0.5964  0.8961  0.3693
O  0.6039  0.2003  0.4732
O  0.6039  0.9036  0.1307
O  0.6307  0.4036  0.1039
O  0.6307  0.7271  0.5268
O  0.7003  0.0964  0.7271
O  0.7003  0.1039  0.9732
O  0.7271  0.5268  0.6307
O  0.7271  0.7003  0.0964
O  0.7729  0.4036  0.7997
O  0.7729  0.8693  0.9732
O  0.7997  0.5268  0.3961
O  0.7997  0.7729  0.4036
O  0.8693  0.3961  0.0964
O  0.8693  0.9732  0.7729
O  0.8961  0.0268  0.2997
O  0.8961  0.3693  0.5964
O  0.9036  0.1307  0.6039
O  0.9036  0.2729  0.2997
O  0.9732  0.7003  0.1039
O  0.9732  0.7729  0.8693


No. 2
SmAgO3 | GGA-PBE | relaxed

Calculated values
M_tot = 0.0 μB per formula unit
DFT total energy = -5.7635 eV per atom

a = 4.0689 Å, b = 4.0689 Å, c = 4.0689 Å
α = 90.00°, β = 90.00°, γ = 90.00°
Sites, in units of the cell vectors:
Sm  0.0000  0.0000  0.0000
Ag  0.5000  0.5000  0.5000
O  0.0000  0.5000  0.5000
O  0.5000  0.0000  0.5000
O  0.5000  0.5000  0.0000


No. 3
SmAgO2 | GGA-PBE | relaxed

Calculated values
DFT total energy = -6.5606 eV per atom

a = 3.6586 Å, b = 3.6586 Å, c = 12.5351 Å
α = 90.00°, β = 90.00°, γ = 120.00°
Sites, in units of the cell vectors:
Sm  0.0000  0.0000  0.0000
Sm  0.0000  0.0000  0.5000
Ag  0.3333  0.6667  0.2500
Ag  0.6667  0.3333  0.7500
O  0.3333  0.6667  0.0842
O  0.3333  0.6667  0.4158
O  0.6667  0.3333  0.5842
O  0.6667  0.3333  0.9158


No. 4
Sm2Ag2O5 | GGA-PBE | relaxed

Calculated values
M_tot = 0.0 μB per formula unit
relative energy among the computed polymorphs = 0 meV per atom

a = 9.0921 Å, b = 9.0921 Å, c = 9.0921 Å
α = 53.88°, β = 141.86°, γ = 143.42°
Sites, in units of the cell vectors:
Sm  0.0040  0.1212  0.1252
Sm  0.0040  0.3788  0.3828
Sm  0.9960  0.6212  0.6172
Sm  0.9960  0.8788  0.8748
Ag  0.4801  0.7454  0.2348
Ag  0.5106  0.2454  0.7652
Ag  0.5318  0.0318  0.5000
Ag  0.5318  0.5318  0.0000
O  0.0345  0.3130  0.8096
O  0.0345  0.7250  0.2215
O  0.1592  0.8212  0.8380
O  0.4821  0.2354  0.5009
O  0.4821  0.4812  0.7467
O  0.5035  0.2250  0.1904
O  0.5035  0.8130  0.7785
O  0.7345  0.7354  0.2533
O  0.7345  0.9812  0.4991
O  0.9832  0.3212  0.1620


No. 5
SmAgO2 | GGA-PBE | relaxed

Calculated values
DFT total energy = -6.5601 eV per atom

a = 6.6083 Å, b = 6.6083 Å, c = 6.6083 Å
α = 32.15°, β = 32.15°, γ = 32.15°
Sites, in units of the cell vectors:
Sm  0.0000  0.0000  0.0000
Ag  0.5000  0.5000  0.5000
O  0.3892  0.3892  0.3892
O  0.6108  0.6108  0.6108


No. 6
Sm2Ag2O5 | GGA-PBE | relaxed

Calculated values
M_tot = 0.0 μB per formula unit
relative energy among the computed polymorphs = 290 meV per atom

a = 4.1525 Å, b = 4.1525 Å, c = 7.2114 Å
α = 90.00°, β = 90.00°, γ = 90.00°
Sites, in units of the cell vectors:
Sm  0.0000  0.0000  0.0000
Sm  0.0000  0.0000  0.5000
Ag  0.5000  0.5000  0.1956
Ag  0.5000  0.5000  0.8044
O  0.0000  0.5000  0.2153
O  0.0000  0.5000  0.7847
O  0.5000  0.0000  0.2153
O  0.5000  0.0000  0.7847
O  0.5000  0.5000  0.5000


No. 7
Ag2SnO3 | GGA-PBE | relaxed

Calculated values
DFT total energy = -4.9459 eV per atom

a = 5.7548 Å, b = 5.7548 Å, c = 12.8854 Å
α = 90.00°, β = 90.00°, γ = 120.00°
Sites, in units of the cell vectors:
Ag  0.0000  0.3231  0.0000
Ag  0.0000  0.6769  0.5000
Ag  0.3231  0.0000  0.0000
Ag  0.3231  0.3231  0.5000
Ag  0.3333  0.6667  0.7500
Ag  0.6667  0.3333  0.2500
Ag  0.6769  0.0000  0.5000
Ag  0.6769  0.6769  0.0000
Sn  0.0000  0.0000  0.2500
Sn  0.0000  0.0000  0.7500
Sn  0.3333  0.6667  0.2500
Sn  0.6667  0.3333  0.7500
O  0.0529  0.3338  0.1625
O  0.0529  0.7191  0.3375
O  0.2809  0.3338  0.3375
O  0.2809  0.9471  0.1625
O  0.3338  0.0529  0.8375
O  0.3338  0.2809  0.6625
O  0.6662  0.7191  0.1625
O  0.6662  0.9471  0.3375
O  0.7191  0.0529  0.6625
O  0.7191  0.6662  0.8375
O  0.9471  0.2809  0.8375
O  0.9471  0.6662  0.6625


No. 8
AgSnO3 | GGA-PBE | relaxed

Calculated values
M_tot = 0.0 μB per formula unit
DFT total energy = -5.2769 eV per atom

a = 6.6053 Å, b = 6.6053 Å, c = 3.2867 Å
α = 90.00°, β = 90.00°, γ = 110.18°
Sites, in units of the cell vectors:
Ag  0.0000  0.0000  0.0000
Ag  0.5000  0.5000  0.0000
Sn  0.0000  0.5000  0.5000
Sn  0.5000  0.0000  0.5000
O  0.1725  0.4325  0.0000
O  0.1734  0.8266  0.5000
O  0.4325  0.1725  0.0000
O  0.5675  0.8275  0.0000
O  0.8266  0.1734  0.5000
O  0.8275  0.5675  0.0000


No. 9
Ag2SnO3 | GGA-PBE | relaxed

Calculated values
M_tot = 0.0 μB per formula unit
DFT total energy = -4.9456 eV per atom

a = 5.7482 Å, b = 12.9030 Å, c = 29.8657 Å
α = 90.00°, β = 90.00°, γ = 90.00°
Sites, in units of the cell vectors:
Ag  0.0001  0.0245  0.0278
Ag  0.0000  0.0253  0.3611
Ag  0.0003  0.4464  0.8056
Ag  0.9999  0.5245  0.4722
Ag  0.0000  0.5253  0.1389
Ag  0.9997  0.9464  0.6944
Ag  0.1590  0.2462  0.6375
Ag  0.1590  0.2544  0.1958
Ag  0.1608  0.2492  0.9705
Ag  0.1620  0.2492  0.5294
Ag  0.1646  0.2461  0.8630
Ag  0.1650  0.2545  0.3036
Ag  0.1762  0.2450  0.7493
Ag  0.1771  0.2526  0.0837
Ag  0.1768  0.2526  0.4172
Ag  0.3229  0.7474  0.5837
Ag  0.3232  0.7474  0.9172
Ag  0.3238  0.7550  0.2493
Ag  0.3350  0.7455  0.8036
Ag  0.3354  0.7539  0.3630
Ag  0.3380  0.7508  0.0294
Ag  0.3392  0.7508  0.4705
Ag  0.3410  0.7456  0.6958
Ag  0.3410  0.7538  0.1375
Ag  0.5003  0.0536  0.1944
Ag  0.5000  0.4747  0.6389
Ag  0.5001  0.4755  0.9722
Ag  0.4997  0.5536  0.3056
Ag  0.5000  0.9747  0.8611
Ag  0.4999  0.9755  0.5278
Ag  0.6590  0.2456  0.8042
Ag  0.6590  0.2538  0.3625
Ag  0.6608  0.2508  0.0295
Ag  0.6620  0.2508  0.4706
Ag  0.6650  0.2455  0.6964
Ag  0.6646  0.2539  0.1370
Ag  0.6762  0.2550  0.2507
Ag  0.6768  0.2474  0.5828
Ag  0.6771  0.2474  0.9163
Ag  0.8232  0.7526  0.0828
Ag  0.8229  0.7526  0.4163
Ag  0.8238  0.7450  0.7507
Ag  0.8354  0.7461  0.6370
Ag  0.8350  0.7545  0.1964
Ag  0.8380  0.7492  0.9706
Ag  0.8392  0.7492  0.5295
Ag  0.8410  0.7462  0.8625
Ag  0.8410  0.7544  0.3042
Sn  0.0002  0.9999  0.1390
Sn  0.9998  0.4999  0.3610
Sn  0.0009  0.0004  0.5834
Sn  0.0005  0.0011  0.2500
Sn  0.0012  0.4982  0.5833
Sn  0.0010  0.5017  0.0278
Sn  0.0007  0.9984  0.8055
Sn  0.4991  0.9996  0.0834
Sn  0.4993  0.0016  0.3055
Sn  0.4990  0.4983  0.5278
Sn  0.4988  0.5018  0.0833
Sn  0.4995  0.9989  0.7500
Sn  0.4998  0.0001  0.6390
Sn  0.5002  0.5001  0.8610
Sn  0.5012  0.0018  0.4167
Sn  0.5005  0.4989  0.7500
Sn  0.5009  0.4996  0.4166
Sn  0.5007  0.5016  0.1945
Sn  0.5010  0.9983  0.9722
Sn  0.9990  0.0017  0.4722
Sn  0.9993  0.4984  0.6945
Sn  0.9991  0.5004  0.9166
Sn  0.9995  0.5011  0.2500
Sn  0.9988  0.9982  0.9167
O  0.1024  0.0921  0.1942
O  0.1081  0.4112  0.9726
O  0.1092  0.4087  0.6389
O  0.1197  0.0837  0.8610
O  0.1195  0.0865  0.5279
O  0.1210  0.4165  0.3055
O  0.1891  0.0830  0.7578
O  0.1901  0.0842  0.6314
O  0.1899  0.4147  0.4087
O  0.1910  0.4119  0.5355
O  0.1908  0.4149  0.0753
O  0.1906  0.4164  0.2021
O  0.1948  0.0903  0.4264
O  0.1959  0.0872  0.9625
O  0.1957  0.0903  0.0931
O  0.1963  0.0919  0.2958
O  0.1982  0.4078  0.7393
O  0.1991  0.4088  0.8720
O  0.3009  0.5912  0.3720
O  0.3018  0.5922  0.2393
O  0.3037  0.9081  0.7958
O  0.3043  0.9097  0.5931
O  0.3041  0.9128  0.4625
O  0.3052  0.9097  0.9264
O  0.3094  0.5836  0.7021
O  0.3092  0.5851  0.5753
O  0.3090  0.5881  0.0355
O  0.3101  0.5853  0.9087
O  0.3099  0.9158  0.1314
O  0.3109  0.9170  0.2578
O  0.3790  0.5835  0.8055
O  0.3805  0.9135  0.0279
O  0.3803  0.9163  0.3610
O  0.3908  0.5913  0.1389
O  0.3919  0.5888  0.4726
O  0.3976  0.9079  0.6942
O  0.6024  0.4079  0.8058
O  0.6081  0.0888  0.0274
O  0.6092  0.0913  0.3611
O  0.6195  0.4135  0.4721
O  0.6197  0.4163  0.1390
O  0.6210  0.0835  0.6945
O  0.6891  0.4170  0.2422
O  0.6899  0.0853  0.5913
O  0.6901  0.4158  0.3686
O  0.6906  0.0836  0.7979
O  0.6908  0.0851  0.9247
O  0.6911  0.0881  0.4645
O  0.6948  0.4097  0.5736
O  0.6963  0.4081  0.7042
O  0.6957  0.4097  0.9069
O  0.6959  0.4128  0.0375
O  0.6982  0.0922  0.2607
O  0.6991  0.0912  0.1280
O  0.8009  0.9088  0.6280
O  0.8018  0.9078  0.7607
O  0.8041  0.5872  0.5375
O  0.8043  0.5903  0.4069
O  0.8037  0.5919  0.2042
O  0.8052  0.5903  0.0736
O  0.8089  0.9119  0.9645
O  0.8092  0.9149  0.4247
O  0.8094  0.9164  0.2979
O  0.8099  0.5842  0.8686
O  0.8101  0.9147  0.0913
O  0.8109  0.5830  0.7422
O  0.8790  0.9165  0.1945
O  0.8803  0.5837  0.6390
O  0.8805  0.5865  0.9721
O  0.8908  0.9087  0.8611
O  0.8919  0.9112  0.5274
O  0.8976  0.5921  0.3058


No. 10
SrAgO3 | GGA-PBE | relaxed

Calculated values
M_tot = 0.1 μB per formula unit
DFT total energy = -4.8498 eV per atom

a = 4.1102 Å, b = 4.1102 Å, c = 4.1102 Å
α = 90.00°, β = 90.00°, γ = 90.00°
Sites, in units of the cell vectors:
Sr  0.0000  0.0000  0.0000
Ag  0.5000  0.5000  0.5000
O  0.0000  0.5000  0.5000
O  0.5000  0.0000  0.5000
O  0.5000  0.5000  0.0000


No. 11
SrAg6O4 | GGA-PBE | relaxed

Calculated values
DFT total energy = -4.1082 eV per atom

a = 6.6120 Å, b = 12.6163 Å, c = 9.0909 Å
α = 90.00°, β = 90.00°, γ = 90.00°
Sites, in units of the cell vectors:
Sr  0.2500  0.0000  0.1195
Sr  0.2500  0.5000  0.3805
Sr  0.7500  0.0000  0.8805
Sr  0.7500  0.5000  0.6195
Ag  0.0000  0.0000  0.5000
Ag  0.0000  0.5000  0.0000
Ag  0.0774  0.2392  0.4605
Ag  0.0774  0.2608  0.0395
Ag  0.0903  0.7500  0.2500
Ag  0.2086  0.6220  0.7359
Ag  0.2086  0.8780  0.7641
Ag  0.2914  0.1220  0.7641
Ag  0.2914  0.3780  0.7359
Ag  0.4097  0.2500  0.2500
Ag  0.4226  0.7392  0.0395
Ag  0.4226  0.7608  0.4605
Ag  0.5000  0.0000  0.5000
Ag  0.5000  0.5000  0.0000
Ag  0.5774  0.2392  0.5395
Ag  0.5774  0.2608  0.9605
Ag  0.5903  0.7500  0.7500
Ag  0.7086  0.6220  0.2641
Ag  0.7086  0.8780  0.2359
Ag  0.7914  0.1220  0.2359
Ag  0.7914  0.3780  0.2641
Ag  0.9097  0.2500  0.7500
Ag  0.9226  0.7392  0.9605
Ag  0.9226  0.7608  0.5395
O  0.0457  0.1191  0.9169
O  0.0457  0.3809  0.5831
O  0.0904  0.1030  0.3266
O  0.0904  0.3970  0.1734
O  0.4096  0.6030  0.1734
O  0.4096  0.8970  0.3266
O  0.4543  0.6191  0.5831
O  0.4543  0.8809  0.9169
O  0.5457  0.1191  0.0831
O  0.5457  0.3809  0.4169
O  0.5904  0.1030  0.6734
O  0.5904  0.3970  0.8266
O  0.9096  0.6030  0.8266
O  0.9096  0.8970  0.6734
O  0.9543  0.6191  0.4169
O  0.9543  0.8809  0.0831